Record 1
Co3TeO8 | GGA+U | relaxed

Lattice parameters (Å, degrees): 6.031 6.107 10.219 73.99 89.76 60.52
Fractional positions:
Co1 0.000 0.000 0.000
Co2 0.009 0.994 0.500
Co3 0.259 0.998 0.252
Co4 0.500 0.003 0.999
Co5 0.512 0.989 0.501
Co6 0.746 0.993 0.749
Te1 0.252 0.984 0.751
Te2 0.757 0.005 0.250
O1 0.105 0.805 0.366
O2 0.107 0.794 0.876
O3 0.135 0.197 0.879
O4 0.182 0.154 0.394
O5 0.327 0.837 0.111
O6 0.331 0.780 0.621
O7 0.392 0.185 0.632
O8 0.410 0.198 0.143
O9 0.590 0.787 0.862
O10 0.632 0.796 0.371
O11 0.674 0.166 0.889
O12 0.685 0.207 0.380
O13 0.843 0.827 0.605
O14 0.869 0.800 0.119
O15 0.890 0.204 0.123
O16 0.915 0.189 0.628

Properties
E_form	-1190	meV per atom
symmetry	P1 (1)
E_tot	-5.66	eV per atom
size of the total moment	0.103	μB per atom

Record 2
Co4TeO8 | GGA+U | relaxed

Lattice parameters (Å, degrees): 5.937 5.945 6.004 92.57 117.30 118.67
Fractional positions:
Co1 0.000 0.000 0.000
Co2 0.000 0.000 0.500
Co3 0.000 0.500 0.000
Co4 0.500 0.500 0.000
Te1 0.500 0.500 0.500
O1 0.044 0.255 0.260
O2 0.062 0.248 0.810
O3 0.498 0.709 0.759
O4 0.499 0.734 0.282
O5 0.501 0.266 0.718
O6 0.502 0.291 0.241
O7 0.938 0.752 0.190
O8 0.956 0.745 0.740

Properties
E_form	-1310	meV per atom
symmetry	P-1 (2)
E above lowest polymorph	0	meV per atom
E_tot	-5.86	eV per atom
size of the total moment	0.000	μB per atom

Record 3
Co3TeO8 | GGA+U | relaxed

Lattice parameters (Å, degrees): 5.896 6.031 8.708 90.44 90.22 90.17
Fractional positions:
Co1 0.000 0.000 0.000
Co2 0.001 0.499 0.500
Co3 0.251 0.751 0.750
Co4 0.496 0.003 0.003
Co5 0.503 0.496 0.502
Co6 0.749 0.254 0.236
Te1 0.248 0.244 0.256
Te2 0.751 0.754 0.749
O1 0.005 0.539 0.739
O2 0.006 0.470 0.274
O3 0.008 0.962 0.747
O4 0.234 0.220 0.027
O5 0.243 0.801 0.963
O6 0.261 0.276 0.483
O7 0.265 0.694 0.533
O8 0.489 0.026 0.238
O9 0.490 0.467 0.260
O10 0.494 0.964 0.758
O11 0.497 0.540 0.751
O12 0.736 0.312 0.491
O13 0.739 0.725 0.524
O14 0.750 0.202 0.022
O15 0.762 0.785 0.974
O16 0.998 0.035 0.252

Properties
E_form	-1165	meV per atom
symmetry	P1 (1)
E_tot	-5.64	eV per atom
size of the total moment	0.083	μB per atom

Record 4
Co3TeO8 | GGA+U | relaxed

Lattice parameters (Å, degrees): 5.694 5.694 9.038 90.00 90.00 120.00
Fractional positions:
Co1 0.171 0.341 0.000
Co2 0.171 0.829 0.000
Co3 0.341 0.171 0.500
Co4 0.659 0.829 0.000
Co5 0.829 0.171 0.500
Co6 0.829 0.659 0.500
Te1 0.333 0.667 0.277
Te2 0.667 0.333 0.777
O1 0.000 0.000 0.086
O2 0.000 0.000 0.586
O3 0.032 0.516 0.122
O4 0.161 0.322 0.379
O5 0.161 0.839 0.379
O6 0.322 0.161 0.879
O7 0.333 0.667 0.897
O8 0.484 0.516 0.122
O9 0.484 0.968 0.122
O10 0.516 0.032 0.622
O11 0.516 0.484 0.622
O12 0.667 0.333 0.397
O13 0.678 0.839 0.379
O14 0.839 0.161 0.879
O15 0.839 0.678 0.879
O16 0.968 0.484 0.622

Properties
E_form	-1033	meV per atom
symmetry	P6_3mc (186)
E_tot	-5.50	eV per atom
size of the total moment	0.917	μB per atom

Record 5
Co3TeO8 | GGA+U | relaxed

Lattice parameters (Å, degrees): 5.861 5.861 5.861 58.28 58.28 58.28
Fractional positions:
Co1 0.000 0.500 0.500
Co2 0.500 0.000 0.500
Co3 0.500 0.500 0.000
Te1 0.500 0.500 0.500
O1 0.258 0.258 0.717
O2 0.258 0.717 0.258
O3 0.273 0.273 0.273
O4 0.283 0.742 0.742
O5 0.717 0.258 0.258
O6 0.727 0.727 0.727
O7 0.742 0.283 0.742
O8 0.742 0.742 0.283

Properties
E_form	-1016	meV per atom
symmetry	R-3m (166)
E_tot	-5.49	eV per atom
size of the total moment	0.917	μB per atom

Record 6
Co3TeO8 | GGA+U | relaxed

Lattice parameters (Å, degrees): 5.983 6.074 10.408 105.70 106.71 60.31
Fractional positions:
Co1 0.000 0.500 0.500
Co2 0.500 0.000 0.500
Co3 0.000 0.000 0.500
Co4 0.500 0.000 0.000
Co5 0.000 0.500 0.000
Co6 0.500 0.500 0.000
Te1 0.000 0.000 0.000
Te2 0.500 0.500 0.500
O1 0.125 0.130 0.411
O2 0.625 0.630 0.911
O3 0.375 0.370 0.089
O4 0.875 0.870 0.589
O5 0.624 0.632 0.398
O6 0.124 0.133 0.898
O7 0.148 0.617 0.392
O8 0.648 0.116 0.891
O9 0.642 0.142 0.399
O10 0.143 0.642 0.899
O11 0.857 0.358 0.101
O12 0.358 0.858 0.601
O13 0.352 0.884 0.109
O14 0.852 0.383 0.608
O15 0.876 0.867 0.102
O16 0.376 0.368 0.602

Properties
E_form	-1108	meV per atom
E_tot	-5.58	eV per atom
size of the total moment	0.000	μB per atom

Record 7
Co3TeO8 | GGA+U | relaxed

Lattice parameters (Å, degrees): 5.943 5.943 5.943 60.03 60.03 60.03
Fractional positions:
Co1 0.000 0.500 0.500
Co2 0.500 0.000 0.500
Co3 0.500 0.500 0.000
Te1 0.000 0.000 0.000
O1 0.233 0.233 0.743
O2 0.233 0.743 0.233
O3 0.257 0.767 0.767
O4 0.277 0.277 0.277
O5 0.723 0.723 0.723
O6 0.743 0.233 0.233
O7 0.767 0.257 0.767
O8 0.767 0.767 0.257

Properties
E_form	-1213	meV per atom
symmetry	R-3m (166)
E_tot	-5.68	eV per atom

Record 8
Ti2Co3Te3O16 | GGA+U | relaxed

Lattice parameters (Å, degrees): 6.174 6.174 9.307 91.56 91.56 58.96
Fractional positions:
Ti1 0.000 0.000 0.000
Ti2 0.681 0.681 0.450
Co1 0.190 0.689 0.261
Co2 0.533 0.533 0.753
Co3 0.689 0.190 0.261
Te1 0.031 0.533 0.747
Te2 0.188 0.188 0.247
Te3 0.533 0.031 0.747
O1 0.008 0.514 0.363
O2 0.038 0.038 0.357
O3 0.186 0.690 0.854
O4 0.207 0.207 0.856
O5 0.310 0.892 0.112
O6 0.346 0.346 0.158
O7 0.355 0.355 0.637
O8 0.413 0.855 0.629
O9 0.514 0.008 0.363
O10 0.532 0.532 0.372
O11 0.690 0.186 0.854
O12 0.713 0.713 0.866
O13 0.846 0.846 0.625
O14 0.855 0.413 0.629
O15 0.877 0.877 0.116
O16 0.892 0.310 0.112

Properties
E_form	-1845	meV per atom
symmetry	Cm (8)
E_tot	-6.42	eV per atom
size of the total moment	0.375	μB per atom